No. 1
# Cs10Si7O9 | the Materials Project database | GGA-PBE | relaxed
data_Cs10Si7O9
_chemical_formula_sum 'Cs40 Si28 O36'
_cell_length_a 15.2212
_cell_length_b 8.3066
_cell_length_c 23.9113
_cell_angle_alpha 90.00
_cell_angle_beta 93.74
_cell_angle_gamma 90.00
_space_group_name_H-M_alt 'P 1 2/c 1'
_space_group_IT_number 13
_space_group_name_Hall '-P 2yc'
loop_
_atom_site_label
_atom_site_fract_x
_atom_site_fract_y
_atom_site_fract_z
Cs1 0.0178 0.0032 0.4071
Cs2 0.0970 0.4734 0.8463
Cs3 0.1229 0.3629 0.5383
Cs4 0.1487 0.3674 0.1901
Cs5 0.2224 0.0382 0.3202
Cs6 0.2833 0.0377 0.6586
Cs7 0.3454 0.3820 0.7977
Cs8 0.3790 0.3757 0.4559
Cs9 0.4104 0.4585 0.1496
Cs10 0.4684 0.0412 0.9060
Si1 0.0000 0.0986 0.2500
Si2 0.0853 0.2270 0.7159
Si3 0.1776 0.2146 0.0319
Si4 0.2460 0.2424 0.9426
Si5 0.2527 0.0133 0.4923
Si6 0.3386 0.2173 0.0280
Si7 0.4095 0.2170 0.2775
Si8 0.5000 0.1091 0.7500
O1 0.0000 0.3021 0.7500
O2 0.0495 0.2022 0.3001
O3 0.0731 0.2817 0.6506
O4 0.0739 0.0249 0.7213
O5 0.1766 0.2836 0.7486
O6 0.3235 0.2711 0.2384
O7 0.4094 0.2721 0.3426
O8 0.4217 0.0150 0.2736
O9 0.4578 0.2125 0.6973
O10 0.5000 0.2939 0.2500
# ρ in g/cm³: 3.68
# Energy of formation from the pure elements in eV/atom: -1.83
# Crystal system: monoclinic

---

No. 2
# HfCuO4F6 | the Materials Project database | GGA-PBE | relaxed
data_HfCuO4F6
_chemical_formula_sum 'Hf2 Cu2 O8 F12'
_cell_length_a 5.4084
_cell_length_b 8.8430
_cell_length_c 7.2053
_cell_angle_alpha 90.00
_cell_angle_beta 96.09
_cell_angle_gamma 90.00
_space_group_name_H-M_alt 'P 1 21/c 1'
_space_group_IT_number 14
_space_group_name_Hall '-P 2ybc'
loop_
_atom_site_label
_atom_site_fract_x
_atom_site_fract_y
_atom_site_fract_z
Hf1 0.0000 0.0000 0.0000
Cu1 0.5000 0.0000 0.5000
O1 0.2617 0.1186 0.5765
O2 0.3783 0.6617 0.1097
F1 0.1730 0.6518 0.3531
F2 0.2252 0.5404 0.7301
F3 0.2449 0.1584 0.9282
# ρ in g/cm³: 4.07
# Energy of formation from the pure elements in eV/atom: -1.60
# Crystal system: monoclinic

---

No. 3
# CePmMg2 | the Materials Project database | GGA-PBE | relaxed
data_CePmMg2
_chemical_formula_sum 'Ce4 Pm4 Mg8'
_cell_length_a 7.7462
_cell_length_b 7.7462
_cell_length_c 7.7462
_cell_angle_alpha 90.00
_cell_angle_beta 90.00
_cell_angle_gamma 90.00
_space_group_name_H-M_alt 'F m -3 m'
_space_group_IT_number 225
_space_group_name_Hall '-F 4 2 3'
loop_
_atom_site_label
_atom_site_fract_x
_atom_site_fract_y
_atom_site_fract_z
Ce1 0.0000 0.0000 0.0000
Pm1 0.0000 0.0000 0.5000
Mg1 0.2500 0.2500 0.2500
# ρ in g/cm³: 4.77
# Energy of formation from the pure elements in eV/atom: -0.01
# Crystal system: cubic

---

No. 4
# Ti4Si2O17 | the Materials Project database | GGA-PBE | relaxed
data_Ti4Si2O17
_chemical_formula_sum 'Ti16 Si8 O68'
_cell_length_a 11.1655
_cell_length_b 11.1655
_cell_length_c 12.2068
_cell_angle_alpha 90.00
_cell_angle_beta 90.00
_cell_angle_gamma 90.00
_space_group_name_H-M_alt 'P -4 21 c'
_space_group_IT_number 114
_space_group_name_Hall 'P -4 2n'
loop_
_atom_site_label
_atom_site_fract_x
_atom_site_fract_y
_atom_site_fract_z
Ti1 0.0177 0.1543 0.1008
Ti2 0.0180 0.1539 0.3990
Si1 0.2203 0.7212 0.9998
O1 0.0000 0.5000 0.3324
O2 0.0092 0.1426 0.2501
O3 0.0138 0.1010 0.5720
O4 0.0137 0.1011 0.9282
O5 0.0513 0.2806 0.7522
O6 0.0954 0.7286 0.4307
O7 0.0956 0.7295 0.0692
O8 0.1642 0.2287 0.0832
O9 0.1645 0.2287 0.4169
# ρ in g/cm³: 2.27
# Energy of formation from the pure elements in eV/atom: -2.22
# Crystal system: tetragonal